No. 1
The following is a DFT calculation (GGA+U) of crystalline Li3Fe2Si2O8 at its relaxed geometry.

Properties
- M_tot: 0.0 μB per cell
- Energy relative to the elements: -2.52 eV per atom
- E: -6.721 eV per atom

```
Li3Fe2Si2O8
1.0
3.944 -1.820 4.764
-5.719 -2.835 3.654
1.033 -6.656 -3.553
O Fe Li Si
16 4 6 4
direct
0.263 0.039 0.176 O
0.526 0.700 0.009 O
0.036 0.812 0.489 O
0.742 0.952 0.184 O
0.255 0.547 0.667 O
0.245 0.047 0.833 O
0.448 0.816 0.487 O
0.975 0.200 0.491 O
0.463 0.312 0.011 O
0.052 0.316 0.013 O
0.754 0.441 0.675 O
0.955 0.695 0.015 O
0.746 0.941 0.825 O
0.758 0.451 0.316 O
0.545 0.194 0.485 O
0.237 0.539 0.324 O
0.507 0.997 0.318 Fe
0.993 0.497 0.181 Fe
0.514 0.496 0.820 Fe
0.986 0.996 0.680 Fe
0.500 0.998 0.696 Li
0.000 0.498 0.804 Li
0.249 0.821 0.995 Li
0.000 0.001 0.310 Li
0.499 0.501 0.190 Li
0.251 0.321 0.504 Li
0.761 0.324 0.495 Si
0.240 0.685 0.496 Si
0.259 0.184 0.004 Si
0.739 0.824 0.005 Si
```

---

No. 2
The following is a DFT calculation (GGA+U) of crystalline Li2Fe2Si3O10 at its relaxed geometry.

Properties
- M_tot: 20.0 μB per cell
- Energy relative to the elements: -2.62 eV per atom
- E: -7.042 eV per atom

```
Li2Fe2Si3O10
1.0
-5.175 1.339 0.945
1.372 -2.206 -4.806
-2.241 -14.986 7.552
Li O Si Fe
4 20 6 4
direct
0.156 0.495 0.952 Li
0.568 0.385 0.233 Li
0.432 0.608 0.750 Li
0.346 0.508 0.452 Li
0.078 0.901 0.549 O
0.629 0.120 0.593 O
0.259 0.548 0.062 O
0.295 0.559 0.562 O
0.664 0.444 0.428 O
0.810 0.908 0.045 O
0.420 0.192 0.810 O
0.612 0.767 0.186 O
0.939 0.149 0.442 O
0.775 0.437 0.932 O
0.370 0.867 0.413 O
0.134 0.205 0.203 O
0.725 0.172 0.301 O
0.484 0.848 0.907 O
0.114 0.227 0.699 O
0.861 0.815 0.802 O
0.491 0.114 0.108 O
0.227 0.802 0.692 O
0.207 0.125 0.949 O
0.910 0.797 0.309 O
0.666 0.154 0.398 Si
0.136 0.999 0.750 Si
0.482 0.148 0.902 Si
0.534 0.839 0.099 Si
0.316 0.853 0.597 Si
0.863 0.996 0.252 Si
0.822 0.810 0.919 Fe
0.186 0.184 0.089 Fe
0.993 0.817 0.421 Fe
0.001 0.199 0.587 Fe
```

---

No. 3
The following is a DFT calculation (GGA+U) of crystalline Li3V2F9 at its relaxed geometry.

Properties
- M_tot: 8.0 μB per cell
- Energy relative to the elements: -3.16 eV per atom
- E: -5.561 eV per atom

```
Li3V2F9
1.0
2.566 -4.444 0.000
2.566 4.444 0.000
0.000 0.000 14.255
Li F V
6 18 4
direct
0.333 0.667 0.685 Li
0.667 0.333 0.001 Li
0.667 0.333 0.501 Li
0.333 0.667 0.983 Li
0.333 0.667 0.185 Li
0.333 0.667 0.483 Li
0.685 0.677 0.421 F
0.328 0.346 0.584 F
0.272 0.980 0.747 F
0.991 0.315 0.421 F
0.272 0.292 0.247 F
0.708 0.728 0.747 F
0.323 0.009 0.421 F
0.323 0.315 0.921 F
0.019 0.672 0.584 F
0.020 0.728 0.247 F
0.708 0.980 0.247 F
0.991 0.677 0.921 F
0.685 0.009 0.921 F
0.654 0.672 0.084 F
0.020 0.292 0.747 F
0.019 0.346 0.084 F
0.654 0.981 0.584 F
0.328 0.981 0.084 F
0.000 0.000 0.147 V
0.000 0.000 0.351 V
0.000 0.000 0.851 V
0.000 0.000 0.647 V
```